1.
This record from Materials Project describes a geometry-optimized K2GaAgI6 structure. The functional is PBE.

```
K2GaAgI6
1.0
-7.798 0.906 2.548
-6.234 -1.307 -5.249
-4.841 -6.623 0.909
K Ga Ag I
2 1 1 6
Direct
0.750 0.750 0.750
0.250 0.250 0.250
0.000 0.000 0.000
0.500 0.500 0.500
0.755 0.245 0.245
0.245 0.245 0.755
0.245 0.755 0.755
0.245 0.755 0.245
0.755 0.245 0.755
0.755 0.755 0.245
```

Values from the calculation:
**SG**: Fm-3m (225)
**ΔE_f**: -0.9559 eV/atom
**Crystal system**: cubic
**E (MP2020)**: -2.6784 eV per atom

2.
This record from Materials Project describes a geometry-optimized Na2GaAgI6 structure. The functional is PBE.

```
Na2GaAgI6
1.0
-2.290 -7.231 -3.107
-6.332 -4.048 3.273
-7.043 -0.635 -4.145
Na Ga Ag I
2 1 1 6
Direct
0.750 0.750 0.750
0.250 0.250 0.250
0.000 0.000 0.000
0.500 0.500 0.500
0.755 0.245 0.245
0.245 0.245 0.755
0.245 0.755 0.755
0.245 0.755 0.245
0.755 0.245 0.755
0.755 0.755 0.245
```

Values from the calculation:
**SG**: Fm-3m (225)
**ΔE_f**: -0.7612 eV/atom
**Crystal system**: cubic
**E (MP2020)**: -2.5262 eV per atom

3.
This record from Materials Project describes a geometry-optimized Rb2GaAgI6 structure. The functional is PBE.

```
Rb2GaAgI6
1.0
1.447 -5.629 5.915
4.383 2.084 6.724
-3.762 0.659 7.361
Rb Ga Ag I
2 1 1 6
Direct
0.750 0.750 0.750
0.250 0.250 0.250
0.000 0.000 0.000
0.500 0.500 0.500
0.756 0.244 0.244
0.244 0.244 0.756
0.244 0.756 0.756
0.244 0.756 0.244
0.756 0.244 0.756
0.756 0.756 0.244
```

Values from the calculation:
**SG**: Fm-3m (225)
**ΔE_f**: -0.9931 eV/atom
**Crystal system**: cubic
**E (MP2020)**: -2.6897 eV per atom

Repeat the third record exactly.
This record from Materials Project describes a geometry-optimized Rb2GaAgI6 structure. The functional is PBE.

```
Rb2GaAgI6
1.0
1.447 -5.629 5.915
4.383 2.084 6.724
-3.762 0.659 7.361
Rb Ga Ag I
2 1 1 6
Direct
0.750 0.750 0.750
0.250 0.250 0.250
0.000 0.000 0.000
0.500 0.500 0.500
0.756 0.244 0.244
0.244 0.244 0.756
0.244 0.756 0.756
0.244 0.756 0.244
0.756 0.244 0.756
0.756 0.756 0.244
```

Values from the calculation:
**SG**: Fm-3m (225)
**ΔE_f**: -0.9931 eV/atom
**Crystal system**: cubic
**E (MP2020)**: -2.6897 eV per atom